Record 1
# Y2Co14B

A geometry-optimized Y2Co14B structure (PBE, Materials Project).

Lattice parameters (Å, degrees): 8.5809 8.5809 11.6642 90.00 90.00 90.00
Fractional coordinates of all 68 atoms:
Y 0.1448 0.1448 0.0000
Y 0.2249 0.2249 0.5000
Y 0.2751 0.7249 0.0000
Y 0.3552 0.6448 0.5000
Y 0.6448 0.3552 0.5000
Y 0.7249 0.2751 0.0000
Y 0.7751 0.7751 0.5000
Y 0.8552 0.8552 0.0000
Co 0.0000 0.0000 0.3837
Co 0.0000 0.0000 0.6163
Co 0.0000 0.5000 0.0000
Co 0.0000 0.5000 0.5000
Co 0.0370 0.6408 0.1775
Co 0.0370 0.6408 0.8225
Co 0.0689 0.7239 0.3740
Co 0.0689 0.7239 0.6260
Co 0.0983 0.9017 0.2024
Co 0.0983 0.9017 0.7976
Co 0.1408 0.4630 0.3225
Co 0.1408 0.4630 0.6775
Co 0.1820 0.1820 0.2539
Co 0.1820 0.1820 0.7461
Co 0.2239 0.4311 0.1260
Co 0.2239 0.4311 0.8740
Co 0.2761 0.9311 0.3740
Co 0.2761 0.9311 0.6260
Co 0.3180 0.6820 0.2461
Co 0.3180 0.6820 0.7539
Co 0.3592 0.9630 0.1775
Co 0.3592 0.9630 0.8225
Co 0.4017 0.4017 0.2976
Co 0.4017 0.4017 0.7024
Co 0.4311 0.2239 0.1260
Co 0.4311 0.2239 0.8740
Co 0.4630 0.1408 0.3225
Co 0.4630 0.1408 0.6775
Co 0.5000 0.0000 0.0000
Co 0.5000 0.0000 0.5000
Co 0.5000 0.5000 0.1163
Co 0.5000 0.5000 0.8837
Co 0.5370 0.8592 0.3225
Co 0.5370 0.8592 0.6775
Co 0.5689 0.7761 0.1260
Co 0.5689 0.7761 0.8740
Co 0.5983 0.5983 0.2976
Co 0.5983 0.5983 0.7024
Co 0.6408 0.0370 0.1775
Co 0.6408 0.0370 0.8225
Co 0.6820 0.3180 0.2461
Co 0.6820 0.3180 0.7539
Co 0.7239 0.0689 0.3740
Co 0.7239 0.0689 0.6260
Co 0.7761 0.5689 0.1260
Co 0.7761 0.5689 0.8740
Co 0.8180 0.8180 0.2539
Co 0.8180 0.8180 0.7461
Co 0.8592 0.5370 0.3225
Co 0.8592 0.5370 0.6775
Co 0.9017 0.0983 0.2024
Co 0.9017 0.0983 0.7976
Co 0.9311 0.2761 0.3740
Co 0.9311 0.2761 0.6260
Co 0.9630 0.3592 0.1775
Co 0.9630 0.3592 0.8225
B 0.1232 0.8768 0.5000
B 0.3768 0.3768 0.0000
B 0.6232 0.6232 0.0000
B 0.8768 0.1232 0.5000

Computed properties:
Energy of formation from the pure elements: -2.87 eV per formula unit
Calculated total energy: -7.18 eV per atom

---

Record 2
# Rb2Zn5Sb4

A geometry-optimized Rb2Zn5Sb4 structure (PBE, Materials Project).

Lattice parameters (Å, degrees): 7.3749 7.3749 12.6209 90.00 90.00 62.94
Fractional coordinates of all 22 atoms:
Rb 0.2239 0.2239 0.0000
Rb 0.2239 0.2239 0.5000
Rb 0.7761 0.7761 0.0000
Rb 0.7761 0.7761 0.5000
Zn 0.0059 0.9941 0.7500
Zn 0.2522 0.4683 0.7500
Zn 0.3433 0.6567 0.1106
Zn 0.3433 0.6567 0.3894
Zn 0.4683 0.2522 0.2500
Zn 0.5317 0.7478 0.7500
Zn 0.6567 0.3433 0.6106
Zn 0.6567 0.3433 0.8894
Zn 0.7478 0.5317 0.2500
Zn 0.9941 0.0059 0.2500
Sb 0.0818 0.6006 0.2500
Sb 0.2758 0.7242 0.5988
Sb 0.2758 0.7242 0.9012
Sb 0.3995 0.9182 0.2500
Sb 0.6006 0.0818 0.7500
Sb 0.7242 0.2758 0.0988
Sb 0.7242 0.2758 0.4012
Sb 0.9182 0.3995 0.7500

Computed properties:
Energy of formation from the pure elements: -3.22 eV per formula unit
Calculated total energy: -2.48 eV per atom

---

Record 3
# AlP3O9

A geometry-optimized AlP3O9 structure (PBE, Materials Project).

Lattice parameters (Å, degrees): 11.0903 11.0903 9.3259 90.00 90.00 120.00
Fractional coordinates of all 78 atoms:
Al 0.0000 0.0000 0.0000
Al 0.0000 0.0000 0.5000
Al 0.3333 0.6667 0.0020
Al 0.3333 0.6667 0.5020
Al 0.6667 0.3333 0.4980
Al 0.6667 0.3333 0.9980
P 0.0000 0.2040 0.2500
P 0.0000 0.7960 0.7500
P 0.1590 0.4465 0.7567
P 0.1590 0.7125 0.2567
P 0.2040 0.0000 0.2500
P 0.2040 0.2040 0.7500
P 0.2875 0.4465 0.2567
P 0.2875 0.8410 0.7567
P 0.4465 0.1590 0.7433
P 0.4465 0.2875 0.2433
P 0.5535 0.7125 0.7567
P 0.5535 0.8410 0.2567
P 0.7125 0.1590 0.2433
P 0.7125 0.5535 0.7433
P 0.7960 0.0000 0.7500
P 0.7960 0.7960 0.2500
P 0.8410 0.2875 0.7433
P 0.8410 0.5535 0.2433
O 0.0000 0.3250 0.7500
O 0.0000 0.6750 0.2500
O 0.0379 0.1553 0.1164
O 0.0379 0.8826 0.6164
O 0.1174 0.1553 0.6164
O 0.1174 0.9621 0.1164
O 0.1226 0.3584 0.2846
O 0.1226 0.7641 0.7846
O 0.1553 0.0379 0.3836
O 0.1553 0.1174 0.8836
O 0.1826 0.5356 0.8860
O 0.1826 0.6470 0.3860
O 0.1995 0.5165 0.6137
O 0.1995 0.6830 0.1137
O 0.2359 0.3584 0.7846
O 0.2359 0.8774 0.2846
O 0.3170 0.5165 0.1137
O 0.3170 0.8005 0.6137
O 0.3250 0.0000 0.7500
O 0.3250 0.3250 0.2500
O 0.3530 0.5356 0.3860
O 0.3530 0.8174 0.8860
O 0.3584 0.1226 0.2154
O 0.3584 0.2359 0.7154
O 0.4644 0.6470 0.8860
O 0.4644 0.8174 0.3860
O 0.4835 0.6830 0.6137
O 0.4835 0.8005 0.1137
O 0.5165 0.1995 0.8863
O 0.5165 0.3170 0.3863
O 0.5356 0.1826 0.6140
O 0.5356 0.3530 0.1140
O 0.6416 0.7641 0.2846
O 0.6416 0.8774 0.7846
O 0.6470 0.1826 0.1140
O 0.6470 0.4644 0.6140
O 0.6750 0.0000 0.2500
O 0.6750 0.6750 0.7500
O 0.6830 0.1995 0.3863
O 0.6830 0.4835 0.8863
O 0.7641 0.1226 0.7154
O 0.7641 0.6416 0.2154
O 0.8005 0.3170 0.8863
O 0.8005 0.4835 0.3863
O 0.8174 0.3530 0.6140
O 0.8174 0.4644 0.1140
O 0.8447 0.8826 0.1164
O 0.8447 0.9621 0.6164
O 0.8774 0.2359 0.2154
O 0.8774 0.6416 0.7154
O 0.8826 0.0379 0.8836
O 0.8826 0.8447 0.3836
O 0.9621 0.1174 0.3836
O 0.9621 0.8447 0.8836

Computed properties:
Energy of formation from the pure elements: -36.75 eV per formula unit
Polymorph energy (0 for the lowest one): 0.015 eV per atom
Calculated total energy: -7.31 eV per atom

---

Record 4
# KPrYNbO6

A geometry-optimized KPrYNbO6 structure (PBE, Materials Project).

Lattice parameters (Å, degrees): 5.9450 5.9450 5.9450 60.00 60.00 60.00
Fractional coordinates of all 10 atoms:
K 0.0000 0.0000 0.0000
Pr 0.5000 0.5000 0.5000
Y 0.2500 0.2500 0.2500
Nb 0.7500 0.7500 0.7500
O 0.5122 0.5122 0.9878
O 0.5122 0.9878 0.5122
O 0.5122 0.9878 0.9878
O 0.9878 0.5122 0.5122
O 0.9878 0.5122 0.9878
O 0.9878 0.9878 0.5122

Computed properties:
Energy of formation from the pure elements: -31.67 eV per formula unit
Calculated total energy: -7.97 eV per atom

---

Record 5
# Nd3Al12Ru4

A geometry-optimized Nd3Al12Ru4 structure (PBE, Materials Project).

Lattice parameters (Å, degrees): 8.8917 8.8917 9.6802 90.00 90.00 120.00
Fractional coordinates of all 38 atoms:
Nd 0.1923 0.3846 0.2500
Nd 0.1923 0.8077 0.2500
Nd 0.3846 0.1923 0.7500
Nd 0.6154 0.8077 0.2500
Nd 0.8077 0.1923 0.7500
Nd 0.8077 0.6154 0.7500
Al 0.0000 0.0000 0.2500
Al 0.0000 0.0000 0.7500
Al 0.1246 0.5623 0.7500
Al 0.1622 0.3244 0.5760
Al 0.1622 0.3244 0.9240
Al 0.1622 0.8378 0.5760
Al 0.1622 0.8378 0.9240
Al 0.3244 0.1622 0.0760
Al 0.3244 0.1622 0.4240
Al 0.3333 0.6667 0.0103
Al 0.3333 0.6667 0.4897
Al 0.4377 0.5623 0.7500
Al 0.4377 0.8754 0.7500
Al 0.5623 0.1246 0.2500
Al 0.5623 0.4377 0.2500
Al 0.6667 0.3333 0.5103
Al 0.6667 0.3333 0.9897
Al 0.6756 0.8378 0.5760
Al 0.6756 0.8378 0.9240
Al 0.8378 0.1622 0.0760
Al 0.8378 0.1622 0.4240
Al 0.8378 0.6756 0.0760
Al 0.8378 0.6756 0.4240
Al 0.8754 0.4377 0.2500
Ru 0.0000 0.0000 0.0000
Ru 0.0000 0.0000 0.5000
Ru 0.0000 0.5000 0.0000
Ru 0.0000 0.5000 0.5000
Ru 0.5000 0.0000 0.0000
Ru 0.5000 0.0000 0.5000
Ru 0.5000 0.5000 0.0000
Ru 0.5000 0.5000 0.5000

Computed properties:
Energy of formation from the pure elements: -12.19 eV per formula unit
Calculated total energy: -5.71 eV per atom

---

- Number 4 is which compound?
  KPrYNbO6

---

- What is the energy of formation from the pure elements in the fifth record?
  -12.19 eV per formula unit